Entry 1:
Density functional theory data (GGA+U) for Li3Mn2P2C2O14 after structural relaxation.

Unit cell a=5.0354 b=6.3597 c=8.3054 alpha=89.73 beta=85.75 gamma=89.91
Fractional positions:
O 0.0530 0.2481 0.8992
O 0.1511 0.7649 0.4185
O 0.3433 0.2319 0.0956
O 0.8570 0.2657 0.5850
O 0.2047 0.9369 0.6946
O 0.7954 0.4405 0.3146
O 0.8281 0.0586 0.3235
O 0.6239 0.7280 0.9036
O 0.4766 0.2676 0.8299
O 0.1705 0.5618 0.6891
O 0.5387 0.7672 0.1698
O 0.5813 0.7256 0.5475
O 0.9563 0.7527 0.0716
O 0.4184 0.2288 0.4645
C 0.2933 0.2502 0.9533
C 0.7091 0.7498 0.0417
Mn 0.8060 0.7462 0.3284
Mn 0.2042 0.2443 0.6730
P 0.2812 0.7490 0.5793
P 0.7264 0.2508 0.4216
Li 0.2435 0.0473 0.2739
Li 0.7481 0.5297 0.7302
Li 0.2340 0.7566 0.9024

Calculated values
For the formation energy, the calculation gives -2.257 eV/atom. The space group is P1, No. 1. The calculation puts the spin magnetization at 6.98 μB per formula unit. As for the energy relative to the lowest polymorph listed for this composition: 10.7 meV per atom.

Entry 2:
Density functional theory data (GGA+U) for MgMn3VCr2P6O24 after structural relaxation.

Unit cell a=8.6068 b=8.7684 c=8.8046 alpha=59.94 beta=58.07 gamma=58.84
Fractional positions:
Mn 0.9367 0.3510 0.3519
Mn 0.0462 0.6513 0.6553
Mn 0.4582 0.8606 0.8389
V 0.5670 0.1367 0.1510
P 0.2494 0.9546 0.2487
P 0.7775 0.7410 0.4266
P 0.2545 0.2400 0.5491
P 0.2397 0.5407 0.9604
P 0.7566 0.0599 0.7467
P 0.7252 0.4493 0.0690
O 0.2108 0.1032 0.7567
O 0.2117 0.9256 0.1072
O 0.9432 0.9103 0.6768
O 0.5261 0.5930 0.0543
O 0.7022 0.4264 0.2674
O 0.7677 0.2460 0.0785
O 0.4313 0.9969 0.1745
O 0.7877 0.9012 0.2307
O 0.0630 0.1052 0.3223
O 0.4407 0.1421 0.4112
O 0.5697 0.0285 0.8184
O 0.7275 0.2625 0.5903
O 0.0511 0.4961 0.0971
O 0.2954 0.5550 0.7548
O 0.6191 0.7962 0.5980
O 0.9809 0.6750 0.4279
O 0.7331 0.5906 0.4198
O 0.2902 0.7449 0.3918
O 0.4025 0.3938 0.0355
O 0.1984 0.7370 0.9693
O 0.8896 0.5104 0.9025
O 0.0808 0.3219 0.4950
O 0.7800 0.0849 0.8999
O 0.2981 0.4080 0.5301
Cr 0.9945 0.0078 0.9932
Cr 0.5045 0.4956 0.5047
Mg 0.2550 0.6282 0.2443

Calculated values
For the formation energy, the calculation gives -2.525 eV/atom. The space group is P1, No. 1. The calculation puts the spin magnetization at 20.01 μB per formula unit. As for the energy relative to the lowest polymorph listed for this composition: 3.4 meV per atom.

Entry 3:
Density functional theory data (GGA+U) for LiFeOF2 after structural relaxation.

Unit cell a=3.3274 b=5.7415 c=11.9541 alpha=90.00 beta=90.00 gamma=90.00
Fractional positions:
F 0.5000 0.1666 0.0844
F 0.0000 0.6666 0.0844
F 0.5000 0.1666 0.4155
F 0.0000 0.3334 0.9156
F 0.5000 0.8334 0.9156
F 0.5000 0.8334 0.5844
F 0.0000 0.3334 0.5845
F 0.0000 0.6666 0.4155
O 0.5000 0.4985 0.2500
O 0.0000 0.9985 0.2500
O 0.5000 0.5015 0.7500
O 0.0000 0.0015 0.7500
Fe 0.5000 0.1687 0.2500
Fe 0.0000 0.6687 0.2500
Fe 0.5000 0.8312 0.7500
Fe 0.0000 0.3312 0.7500
Li 0.0000 0.0000 0.5000
Li 0.0000 0.0000 0.0000
Li 0.5000 0.5000 0.5000
Li 0.5000 0.5000 0.0000

Calculated values
For the formation energy, the calculation gives -2.497 eV/atom. The calculation puts the spin magnetization at 0.00 μB per formula unit. As for the energy relative to the lowest polymorph listed for this composition: 21.6 meV per atom.

Entry 4:
Density functional theory data (GGA+U) for ZnMoO6 after structural relaxation.

Unit cell a=10.3338 b=6.2972 c=8.5688 alpha=89.68 beta=90.00 gamma=90.00
Fractional positions:
Zn 0.7216 0.9922 0.9299
Zn 0.2216 0.0078 0.0701
Zn 0.7180 0.0393 0.5660
Zn 0.2180 0.9607 0.4340
O 0.0790 0.8361 0.5671
O 0.6103 0.0655 0.1039
O 0.1703 0.4011 0.4412
O 0.8589 0.8634 0.0629
O 0.3393 0.0557 0.2570
O 0.8393 0.9443 0.7430
O 0.9235 0.5474 0.2872
O 0.4886 0.4541 0.2028
O 0.2592 0.5302 0.4280
O 0.6657 0.5655 0.9289
O 0.1000 0.9181 0.2465
O 0.2499 0.5691 0.0467
O 0.6000 0.0819 0.7535
O 0.4235 0.4526 0.7128
O 0.9886 0.5459 0.7972
O 0.8295 0.9516 0.3958
O 0.1103 0.9345 0.8961
O 0.3589 0.1366 0.9371
O 0.7499 0.4309 0.9533
O 0.1657 0.4345 0.0711
O 0.6703 0.5989 0.5588
O 0.3295 0.0484 0.6042
O 0.7592 0.4698 0.5720
O 0.5790 0.1639 0.4329
Mo 0.9275 0.8186 0.2535
Mo 0.0041 0.8142 0.7564
Mo 0.5041 0.1858 0.2436
Mo 0.4275 0.1814 0.7465

Calculated values
For the formation energy, the calculation gives -1.137 eV/atom. The space group is P2_1, No. 4. The calculation puts the spin magnetization at 2.00 μB per formula unit.